Here is a relaxed Y6MnBi2 crystal from the Materials Project. Energies are from r²SCAN.

Calculated values
symmetry = P-62m, No. 189
energy relative to the elements = -5.224 eV per formula unit
calculated volume = 264.04 Å³ per cell
DFT total energy = -28.755 eV/atom
theoretical density = 6.3 g/cm3

Unit cell a=8.284 b=8.284 c=4.443 alpha=90.00 beta=90.00 gamma=120.00
Fractional positions:
Y 0.000 0.238 0.000
Y 0.000 0.599 0.500
Y 0.238 0.000 0.000
Y 0.401 0.401 0.500
Y 0.599 0.000 0.500
Y 0.762 0.762 0.000
Mn 0.000 0.000 0.500
Bi 0.333 0.667 0.000
Bi 0.667 0.333 0.000